[1]
{"formula": "NaEuS2", "functional": "PBE", "state": "relaxed", "lattice_angstrom": [[6.813, -2.060, 0.000], [6.813, 2.060, 0.000], [6.191, 0.000, 3.513]], "species": ["S", "Eu", "Na", "S"], "frac_coords": [[0.257, 0.257, 0.257], [0.000, 0.000, 0.000], [0.500, 0.500, 0.500], [0.743, 0.743, 0.743]], "space_group": "R-3m", "mass_density_g_cm3": 4.025, "formation_enthalpy_0k_mev_per_atom": -1755}

=====

[2]
{"formula": "Na2SnGe2H2O8", "functional": "PBE", "state": "relaxed", "lattice_angstrom": [[5.678, 0.000, 0.000], [1.491, 5.761, 0.000], [1.893, 0.002, 11.318]], "species": ["Na", "O", "Ge", "O", "O", "O", "H", "Sn", "Sn", "O", "O", "Ge", "O", "O", "Na", "H", "H", "O", "O", "O", "Na", "Na", "O", "O", "H", "O", "Ge", "Ge", "O", "O"], "frac_coords": [[0.218, 0.612, 0.436], [0.649, 0.058, 0.648], [0.829, 0.562, 0.871], [0.750, 0.830, 0.945], [0.323, 0.762, 0.597], [0.782, 0.321, 0.956], [0.221, 0.081, 0.344], [0.000, 0.000, 0.000], [0.500, 0.000, 0.500], [0.796, 0.024, 0.166], [0.140, 0.509, 0.791], [0.318, 0.724, 0.749], [0.351, 0.942, 0.352], [0.204, 0.277, 0.555], [0.782, 0.388, 0.564], [0.779, 0.919, 0.656], [0.792, 0.690, 0.363], [0.218, 0.679, 0.044], [0.631, 0.569, 0.762], [0.677, 0.238, 0.403], [0.502, 0.819, 0.147], [0.498, 0.181, 0.853], [0.860, 0.491, 0.209], [0.204, 0.976, 0.834], [0.208, 0.310, 0.637], [0.250, 0.170, 0.055], [0.171, 0.438, 0.129], [0.682, 0.276, 0.251], [0.796, 0.723, 0.445], [0.369, 0.431, 0.238]], "space_group": "P-1", "total_magnetization_mub_per_cell": 0.0, "mass_density_g_cm3": 3.947, "formation_enthalpy_0k_mev_per_atom": -1974}

=====

[3]
{"formula": "LiSiNO", "functional": "PBE", "state": "relaxed", "lattice_angstrom": [[4.781, 0.000, 0.000], [0.000, 5.231, 0.000], [0.000, 0.000, 6.427]], "species": ["Si", "Si", "O", "O", "N", "Si", "Si", "O", "Li", "Li", "N", "Li", "N", "N", "Li", "O"], "frac_coords": [[0.512, 0.919, 0.880], [0.012, 0.081, 0.120], [0.091, 0.462, 0.656], [0.591, 0.538, 0.344], [0.648, 0.609, 0.916], [0.512, 0.419, 0.120], [0.012, 0.581, 0.880], [0.591, 0.038, 0.656], [0.999, 0.597, 0.386], [0.499, 0.403, 0.614], [0.648, 0.109, 0.084], [0.499, 0.903, 0.386], [0.148, 0.891, 0.916], [0.148, 0.391, 0.084], [0.999, 0.097, 0.614], [0.091, 0.962, 0.344]], "space_group": "Pca2_1", "mass_density_g_cm3": 2.687, "e_ij_max_c_m2": 1.14, "formation_enthalpy_0k_mev_per_atom": -2031}

=====

no.,E (MP2020) (eV/atom)
1,-6.72
2,-6.12
3,-7.19